1.
! V3O4F2 PBE with a Hubbard U optimized geometry; values from VASP
&SYSTEM
  ibrav = 0, nat = 18, ntyp = 3
/
ATOMIC_SPECIES
V 50.94 V.upf
O 16.00 O.upf
F 19.00 F.upf
ATOMIC_POSITIONS crystal
V 0.000 0.000 0.000
V 0.022 0.967 0.655
V 0.055 0.940 0.312
V 0.499 0.432 0.816
V 0.524 0.466 0.154
V 0.555 0.506 0.499
O 0.196 0.142 0.829
O 0.217 0.168 0.151
O 0.327 0.657 0.650
O 0.346 0.651 0.326
O 0.711 0.276 0.987
O 0.713 0.259 0.648
O 0.832 0.770 0.140
O 0.833 0.766 0.485
F 0.241 0.168 0.483
F 0.312 0.668 0.985
F 0.735 0.261 0.327
F 0.805 0.761 0.824
CELL_PARAMETERS angstrom
4.677 0.000 0.000
0.014 4.705 0.000
0.075 0.176 9.180
! Polymorph energy (0 for the lowest one) (meV per atom): 4
! DFT formation energy (meV per atom): -2712
! Symmetry: No. 1
! Raw total energy (eV per atom): -7.390

---

2.
! V3O4F2 PBE with a Hubbard U optimized geometry; values from VASP
&SYSTEM
  ibrav = 0, nat = 18, ntyp = 3
/
ATOMIC_SPECIES
V 50.94 V.upf
O 16.00 O.upf
F 19.00 F.upf
ATOMIC_POSITIONS crystal
V 0.000 0.000 0.000
V 0.003 0.003 0.500
V 0.319 0.319 0.360
V 0.336 0.336 0.827
V 0.653 0.653 0.696
V 0.664 0.664 0.167
O 0.024 0.633 0.833
O 0.230 0.230 0.533
O 0.305 0.691 0.503
O 0.365 0.972 0.172
O 0.567 0.567 0.871
O 0.633 0.024 0.833
O 0.691 0.305 0.503
O 0.972 0.365 0.172
F 0.102 0.102 0.799
F 0.432 0.432 0.133
F 0.769 0.769 0.468
F 0.899 0.899 0.204
CELL_PARAMETERS angstrom
4.599 -3.207 0.000
4.599 3.207 0.000
-3.145 0.000 6.863
! Polymorph energy (0 for the lowest one) (meV per atom): 20
! DFT formation energy (meV per atom): -2696
! Symmetry: No. 8
! Raw total energy (eV per atom): -7.374

---

3.
! V6O7F5 PBE with a Hubbard U optimized geometry; values from VASP
&SYSTEM
  ibrav = 0, nat = 18, ntyp = 3
/
ATOMIC_SPECIES
V 50.94 V.upf
O 16.00 O.upf
F 19.00 F.upf
ATOMIC_POSITIONS crystal
V 0.000 0.000 0.000
V 0.025 0.325 0.975
V 0.025 0.675 0.975
V 0.457 0.500 0.481
V 0.492 0.173 0.505
V 0.492 0.827 0.505
O 0.187 0.500 0.171
O 0.202 0.156 0.189
O 0.202 0.844 0.189
O 0.304 0.331 0.682
O 0.304 0.669 0.682
O 0.807 0.158 0.800
O 0.807 0.842 0.800
F 0.300 0.000 0.696
F 0.698 0.000 0.304
F 0.698 0.335 0.287
F 0.698 0.665 0.287
F 0.800 0.500 0.772
CELL_PARAMETERS angstrom
4.692 0.000 0.000
0.000 9.319 0.000
-0.221 0.000 4.694
! Polymorph energy (0 for the lowest one) (meV per atom): 4
! DFT formation energy (meV per atom): -2758
! Symmetry: No. 6
! Raw total energy (eV per atom): -7.280

---

4.
! V6O5F8 PBE with a Hubbard U optimized geometry; values from VASP
&SYSTEM
  ibrav = 0, nat = 76, ntyp = 3
/
ATOMIC_SPECIES
V 50.94 V.upf
O 16.00 O.upf
F 19.00 F.upf
ATOMIC_POSITIONS crystal
V 0.193 0.232 0.339
V 0.193 0.268 0.839
V 0.197 0.707 0.918
V 0.197 0.793 0.418
V 0.206 0.245 0.001
V 0.206 0.255 0.501
V 0.209 0.709 0.581
V 0.209 0.714 0.757
V 0.209 0.786 0.257
V 0.209 0.791 0.081
V 0.229 0.205 0.162
V 0.229 0.295 0.662
V 0.771 0.705 0.338
V 0.771 0.795 0.838
V 0.791 0.209 0.919
V 0.791 0.214 0.743
V 0.791 0.286 0.243
V 0.791 0.291 0.419
V 0.794 0.745 0.499
V 0.794 0.755 0.999
V 0.803 0.207 0.582
V 0.803 0.293 0.082
V 0.807 0.732 0.161
V 0.807 0.768 0.661
O 0.015 0.000 0.791
O 0.015 0.500 0.291
O 0.020 0.528 0.042
O 0.020 0.530 0.459
O 0.020 0.970 0.959
O 0.020 0.972 0.542
O 0.027 0.504 0.377
O 0.027 0.996 0.877
O 0.050 0.502 0.126
O 0.050 0.998 0.626
O 0.950 0.002 0.374
O 0.950 0.498 0.874
O 0.973 0.004 0.123
O 0.973 0.496 0.623
O 0.980 0.028 0.458
O 0.980 0.030 0.041
O 0.980 0.470 0.541
O 0.980 0.472 0.958
O 0.985 0.000 0.209
O 0.985 0.500 0.709
F 0.081 0.506 0.209
F 0.081 0.994 0.709
F 0.390 0.621 0.818
F 0.390 0.879 0.318
F 0.430 0.123 0.392
F 0.430 0.377 0.892
F 0.432 0.127 0.250
F 0.432 0.373 0.750
F 0.446 0.130 0.107
F 0.446 0.370 0.607
F 0.452 0.618 0.676
F 0.452 0.882 0.176
F 0.467 0.614 0.535
F 0.467 0.886 0.035
F 0.472 0.613 0.965
F 0.472 0.887 0.465
F 0.528 0.113 0.535
F 0.528 0.387 0.035
F 0.533 0.114 0.965
F 0.533 0.386 0.465
F 0.548 0.118 0.824
F 0.548 0.382 0.324
F 0.554 0.630 0.393
F 0.554 0.870 0.893
F 0.568 0.627 0.250
F 0.568 0.873 0.750
F 0.570 0.623 0.108
F 0.570 0.877 0.608
F 0.610 0.121 0.682
F 0.610 0.379 0.182
F 0.919 0.006 0.291
F 0.919 0.494 0.791
CELL_PARAMETERS angstrom
4.972 0.000 0.000
0.000 5.103 0.000
-1.019 0.000 31.006
! DFT formation energy (meV per atom): -2837
! Symmetry: No. 14
! Raw total energy (eV per atom): -6.902

---

5.
! V6O5F19 PBE with a Hubbard U optimized geometry; values from VASP
&SYSTEM
  ibrav = 0, nat = 30, ntyp = 3
/
ATOMIC_SPECIES
V 50.94 V.upf
O 16.00 O.upf
F 19.00 F.upf
ATOMIC_POSITIONS crystal
V 0.000 0.000 0.000
V 0.019 0.265 0.332
V 0.420 0.078 0.667
V 0.475 0.458 0.006
V 0.526 0.804 0.344
V 0.930 0.566 0.674
O 0.170 0.242 0.980
O 0.191 0.916 0.649
O 0.251 0.070 0.317
O 0.750 0.982 0.361
O 0.764 0.328 0.692
F 0.019 0.237 0.453
F 0.035 0.885 0.118
F 0.058 0.572 0.784
F 0.166 0.555 0.311
F 0.243 0.403 0.644
F 0.262 0.762 0.980
F 0.365 0.389 0.120
F 0.369 0.729 0.450
F 0.399 0.089 0.785
F 0.521 0.824 0.224
F 0.535 0.479 0.887
F 0.558 0.159 0.557
F 0.674 0.494 0.361
F 0.675 0.813 0.698
F 0.684 0.145 0.028
F 0.748 0.622 0.030
F 0.863 0.318 0.225
F 0.877 0.971 0.893
F 0.891 0.685 0.556
CELL_PARAMETERS angstrom
5.376 0.000 0.000
0.245 5.528 0.000
0.101 2.710 14.610
! Polymorph energy (0 for the lowest one) (meV per atom): 6
! DFT formation energy (meV per atom): -2734
! Symmetry: No. 1
! Raw total energy (eV per atom): -5.841

---

6.
! V2OF5 PBE with a Hubbard U optimized geometry; values from VASP
&SYSTEM
  ibrav = 0, nat = 32, ntyp = 3
/
ATOMIC_SPECIES
V 50.94 V.upf
O 16.00 O.upf
F 19.00 F.upf
ATOMIC_POSITIONS crystal
V 0.000 0.000 0.000
V 0.101 0.145 0.631
V 0.210 0.276 0.246
V 0.355 0.353 0.883
V 0.481 0.503 0.500
V 0.622 0.627 0.129
V 0.740 0.734 0.750
V 0.843 0.912 0.380
O 0.001 0.416 0.686
O 0.211 0.206 0.955
O 0.743 0.186 0.433
O 0.991 0.421 0.174
F 0.026 0.037 0.289
F 0.201 0.828 0.564
F 0.235 0.841 0.089
F 0.238 0.680 0.414
F 0.261 0.297 0.538
F 0.288 0.671 0.941
F 0.441 0.472 0.216
F 0.457 0.067 0.810
F 0.470 0.085 0.333
F 0.497 0.911 0.663
F 0.516 0.534 0.795
F 0.520 0.956 0.188
F 0.699 0.710 0.462
F 0.712 0.315 0.064
F 0.720 0.324 0.586
F 0.755 0.153 0.912
F 0.788 0.787 0.040
F 0.956 0.569 0.319
F 0.962 0.939 0.710
F 0.981 0.585 0.837
CELL_PARAMETERS angstrom
5.266 0.000 0.000
2.626 4.757 0.000
2.566 0.986 17.222
! Polymorph energy (0 for the lowest one) (meV per atom): 3
! DFT formation energy (meV per atom): -3042
! Symmetry: No. 1
! Raw total energy (eV per atom): -6.328

---

7.
! V6O7F5 PBE with a Hubbard U optimized geometry; values from VASP
&SYSTEM
  ibrav = 0, nat = 18, ntyp = 3
/
ATOMIC_SPECIES
V 50.94 V.upf
O 16.00 O.upf
F 19.00 F.upf
ATOMIC_POSITIONS crystal
V 0.000 0.000 0.000
V 0.002 0.308 0.636
V 0.016 0.643 0.333
V 0.513 0.146 0.319
V 0.541 0.467 0.977
V 0.568 0.820 0.661
O 0.222 0.353 0.413
O 0.321 0.178 0.077
O 0.718 0.113 0.545
O 0.737 0.780 0.896
O 0.820 0.616 0.550
O 0.833 0.943 0.218
O 0.834 0.273 0.882
F 0.223 0.009 0.752
F 0.230 0.680 0.092
F 0.325 0.846 0.432
F 0.326 0.516 0.749
F 0.723 0.443 0.214
CELL_PARAMETERS angstrom
4.678 0.000 0.000
0.004 5.620 0.000
0.038 0.494 7.784
! Polymorph energy (0 for the lowest one) (meV per atom): 8
! DFT formation energy (meV per atom): -2754
! Symmetry: No. 1
! Raw total energy (eV per atom): -7.276

---

8.
! VOF2 PBE with a Hubbard U optimized geometry; values from VASP
&SYSTEM
  ibrav = 0, nat = 8, ntyp = 3
/
ATOMIC_SPECIES
V 50.94 V.upf
O 16.00 O.upf
F 19.00 F.upf
ATOMIC_POSITIONS crystal
V 0.000 0.500 0.000
V 0.500 0.000 0.500
O 0.201 0.799 0.250
O 0.799 0.201 0.750
F 0.227 0.333 0.726
F 0.333 0.227 0.226
F 0.667 0.773 0.774
F 0.773 0.667 0.274
CELL_PARAMETERS angstrom
4.436 -2.714 0.000
4.436 2.714 0.000
-3.181 0.000 4.410
! DFT formation energy (meV per atom): -2829
! Symmetry: No. 15
! Raw total energy (eV per atom): -6.467

---

9.
! V2OF5 PBE with a Hubbard U optimized geometry; values from VASP
&SYSTEM
  ibrav = 0, nat = 32, ntyp = 3
/
ATOMIC_SPECIES
V 50.94 V.upf
O 16.00 O.upf
F 19.00 F.upf
ATOMIC_POSITIONS crystal
V 0.000 0.002 0.000
V 0.000 0.998 0.500
V 0.242 0.490 0.238
V 0.242 0.510 0.738
V 0.316 0.017 0.844
V 0.316 0.983 0.344
V 0.600 0.470 0.576
V 0.600 0.530 0.076
O 0.159 0.113 0.913
O 0.159 0.887 0.413
O 0.810 0.206 0.568
O 0.810 0.794 0.068
F 0.039 0.182 0.754
F 0.039 0.818 0.254
F 0.103 0.320 0.323
F 0.103 0.680 0.823
F 0.252 0.325 0.502
F 0.252 0.675 0.002
F 0.324 0.199 0.070
F 0.324 0.801 0.570
F 0.420 0.364 0.657
F 0.420 0.636 0.157
F 0.467 0.170 0.257
F 0.467 0.830 0.757
F 0.537 0.318 0.823
F 0.537 0.682 0.323
F 0.668 0.135 0.413
F 0.668 0.865 0.913
F 0.741 0.317 0.001
F 0.741 0.683 0.501
F 0.900 0.356 0.158
F 0.900 0.644 0.658
CELL_PARAMETERS angstrom
4.716 0.000 0.000
0.000 5.064 0.000
-4.713 0.000 17.414
! Polymorph energy (0 for the lowest one) (meV per atom): 55
! DFT formation energy (meV per atom): -2990
! Symmetry: No. 7
! Raw total energy (eV per atom): -6.276

---

10.
! V2OF5 PBE with a Hubbard U optimized geometry; values from VASP
&SYSTEM
  ibrav = 0, nat = 16, ntyp = 3
/
ATOMIC_SPECIES
V 50.94 V.upf
O 16.00 O.upf
F 19.00 F.upf
ATOMIC_POSITIONS crystal
V 0.114 0.114 0.368
V 0.406 0.350 0.128
V 0.650 0.594 0.872
V 0.886 0.886 0.632
O 0.788 0.152 0.258
O 0.848 0.212 0.742
F 0.023 0.572 0.999
F 0.115 0.885 0.500
F 0.186 0.323 0.256
F 0.266 0.635 0.748
F 0.365 0.734 0.252
F 0.428 0.977 0.001
F 0.512 0.060 0.494
F 0.619 0.381 0.000
F 0.677 0.814 0.744
F 0.940 0.488 0.506
CELL_PARAMETERS angstrom
4.577 -2.634 0.000
4.577 2.634 0.000
-3.148 0.000 9.016
! Polymorph energy (0 for the lowest one) (meV per atom): 2
! DFT formation energy (meV per atom): -3042
! Symmetry: No. 5
! Raw total energy (eV per atom): -6.329

---

11.
! V2O3F PBE with a Hubbard U optimized geometry; values from VASP
&SYSTEM
  ibrav = 0, nat = 24, ntyp = 3
/
ATOMIC_SPECIES
V 50.94 V.upf
O 16.00 O.upf
F 19.00 F.upf
ATOMIC_POSITIONS crystal
V 0.118 0.882 0.750
V 0.127 0.380 0.750
V 0.373 0.627 0.250
V 0.380 0.127 0.250
V 0.620 0.873 0.750
V 0.627 0.373 0.750
V 0.873 0.620 0.250
V 0.882 0.118 0.250
O 0.025 0.975 0.250
O 0.125 0.374 0.051
O 0.125 0.374 0.449
O 0.276 0.724 0.750
O 0.374 0.125 0.551
O 0.374 0.125 0.949
O 0.626 0.875 0.051
O 0.626 0.875 0.449
O 0.724 0.276 0.250
O 0.875 0.626 0.551
O 0.875 0.626 0.949
O 0.975 0.025 0.750
F 0.224 0.776 0.250
F 0.476 0.524 0.750
F 0.524 0.476 0.250
F 0.776 0.224 0.750
CELL_PARAMETERS angstrom
3.084 -6.615 0.000
3.084 6.615 0.000
0.000 0.000 6.379
! Polymorph energy (0 for the lowest one) (meV per atom): 89
! DFT formation energy (meV per atom): -2581
! Symmetry: No. 63
! Raw total energy (eV per atom): -7.415

---

12.
! V6O5F19 PBE with a Hubbard U optimized geometry; values from VASP
&SYSTEM
  ibrav = 0, nat = 30, ntyp = 3
/
ATOMIC_SPECIES
V 50.94 V.upf
O 16.00 O.upf
F 19.00 F.upf
ATOMIC_POSITIONS crystal
V 0.000 0.000 0.000
V 0.028 0.414 0.336
V 0.110 0.726 0.677
V 0.508 0.488 0.008
V 0.546 0.892 0.337
V 0.603 0.180 0.665
O 0.340 0.249 0.028
O 0.340 0.900 0.695
O 0.772 0.835 0.981
O 0.837 0.656 0.317
O 0.840 0.996 0.648
F 0.105 0.746 0.558
F 0.119 0.390 0.225
F 0.141 0.084 0.892
F 0.254 0.732 0.030
F 0.257 0.422 0.696
F 0.264 0.075 0.359
F 0.312 0.577 0.359
F 0.441 0.231 0.561
F 0.472 0.599 0.890
F 0.480 0.896 0.221
F 0.600 0.146 0.785
F 0.622 0.797 0.453
F 0.639 0.497 0.116
F 0.748 0.471 0.645
F 0.754 0.174 0.316
F 0.818 0.318 0.979
F 0.945 0.663 0.781
F 0.970 0.296 0.452
F 0.981 0.004 0.118
CELL_PARAMETERS angstrom
5.386 0.000 0.000
0.166 5.549 0.000
0.085 2.747 14.740
! Polymorph energy (0 for the lowest one) (meV per atom): 7
! DFT formation energy (meV per atom): -2733
! Symmetry: No. 1
! Raw total energy (eV per atom): -5.840

---

Q: What is the DFT formation energy in the ninth record?
A: -2990 meV per atom